Er2MgIn r2SCAN relaxed; SG = Fm-3m, No. 225; V = 25.5 Å³/atom; formation energy from the elements = -0.369 eV per atom; VASP energy = -24.019 eV/atom
1.0
0.000 3.706 3.706
3.706 0.000 3.706
3.706 3.706 0.000
Er Mg In
2 1 1
direct
0.000 0.000 0.000
0.500 0.500 0.500
0.750 0.750 0.750
0.250 0.250 0.250

***

SrMg2Pd r2SCAN relaxed; SG = Cmcm, No. 63; V = 25.4 Å³/atom; formation energy from the elements = -0.435 eV per atom; VASP energy = -12.046 eV/atom
1.0
2.172 -5.672 0.000
2.172 5.672 0.000
0.000 0.000 8.231
Pd Mg Sr
2 4 2
direct
0.229 0.771 0.250
0.771 0.229 0.750
0.668 0.332 0.440
0.332 0.668 0.940
0.332 0.668 0.560
0.668 0.332 0.060
0.052 0.948 0.750
0.948 0.052 0.250

***

Ni2B r2SCAN relaxed; SG = I4/mcm, No. 140; V = 8.5 Å³/atom; formation energy from the elements = -0.283 eV per atom; VASP energy = -10.719 eV/atom
1.0
3.924 0.008 -1.086
-2.270 3.201 -1.086
-0.004 -0.008 4.071
Ni B
4 2
direct
0.919 0.581 0.000
0.581 0.919 0.000
0.419 0.419 0.338
0.081 0.081 0.662
0.000 0.500 0.500
0.500 0.000 0.500

***

YBi r2SCAN relaxed; SG = Fm-3m, No. 225; V = 31.7 Å³/atom; formation energy from the elements = -1.099 eV per atom; VASP energy = -40.507 eV/atom
1.0
1.612 4.068 0.943
2.465 0.632 3.682
4.389 0.806 -0.356
Y Bi
1 1
direct
0.500 0.500 0.500
0.000 0.000 0.000

***

Ho2Ge2Os r2SCAN relaxed; SG = C2/m, No. 12; V = 20.3 Å³/atom; formation energy from the elements = -0.800 eV per atom; VASP energy = -30.099 eV/atom
1.0
-3.867 0.081 -1.822
-1.571 -5.202 -1.914
-5.621 -2.326 6.808
Ho Ge Os
4 4 2
direct
0.997 0.332 0.674
0.183 0.749 0.885
0.817 0.251 0.115
0.003 0.668 0.326
0.512 0.851 0.124
0.357 0.724 0.561
0.643 0.276 0.439
0.488 0.149 0.876
0.731 0.907 0.631
0.269 0.093 0.369

***

SrMg3SiN4 r2SCAN relaxed; SG = I4_1/a, No. 88; V = 12.5 Å³/atom; formation energy from the elements = -1.200 eV per atom; VASP energy = -9.305 eV/atom
1.0
8.591 -5.287 3.245
-3.512 3.868 9.219
-7.068 -5.984 -5.149
N Sr Si Mg
32 8 8 24
direct
0.341 0.084 0.071
0.409 0.166 0.429
0.728 0.348 0.726
0.248 0.138 0.801
0.834 0.264 0.244
0.862 0.663 0.110
0.098 0.871 0.120
0.020 0.591 0.756
0.641 0.736 0.256
0.621 0.002 0.274
0.480 0.385 0.744
0.270 0.865 0.756
0.264 0.520 0.905
0.413 0.803 0.301
0.752 0.978 0.880
0.615 0.359 0.095
0.022 0.902 0.774
0.916 0.986 0.256
0.502 0.112 0.699
0.652 0.379 0.380
0.888 0.587 0.390
0.553 0.752 0.890
0.998 0.272 0.620
0.129 0.248 0.226
0.730 0.659 0.744
0.135 0.891 0.405
0.197 0.498 0.610
0.109 0.514 0.244
0.736 0.980 0.571
0.014 0.270 0.929
0.486 0.730 0.595
0.337 0.447 0.199
0.792 0.292 0.980
0.042 0.562 0.000
0.708 0.688 0.500
0.438 0.438 0.480
0.562 0.042 0.000
0.312 0.812 0.020
0.188 0.208 0.500
0.958 0.958 0.520
0.995 0.854 0.212
0.108 0.467 0.712
0.217 0.005 0.859
0.604 0.892 0.359
0.146 0.358 0.141
0.642 0.783 0.788
0.755 0.396 0.288
0.533 0.245 0.641
0.304 0.940 0.354
0.964 0.782 0.872
0.293 0.975 0.639
0.404 0.543 0.817
0.413 0.596 0.139
0.586 0.949 0.646
0.060 0.414 0.364
0.786 0.468 0.628
0.337 0.654 0.361
0.346 0.707 0.683
0.725 0.587 0.183
0.908 0.036 0.819
0.164 0.301 0.854
0.911 0.092 0.128
0.699 0.554 0.864
0.532 0.161 0.319
0.446 0.310 0.146
0.690 0.836 0.136
0.842 0.214 0.681
0.218 0.089 0.181
0.457 0.275 0.861
0.051 0.696 0.636
0.025 0.663 0.317
0.839 0.158 0.372